Entry P
Entry from the Materials Project database: crystalline KCaCoC6S6O10 at its relaxed geometry (PBE+U).

The structure in CIF format:
```
data_KCaCoC6S6O10
_chemical_formula_sum 'K4 Ca4 Co4 C24 S24 O40'
_symmetry_space_group_name_H-M 'P 21 21 21'
_symmetry_Int_Tables_number 19
_cell_length_a 11.522
_cell_length_b 12.602
_cell_length_c 13.335
_cell_angle_alpha 90.00
_cell_angle_beta 90.00
_cell_angle_gamma 90.00
loop_
_symmetry_equiv_pos_as_xyz
'x,y,z'
'-x+1/2,-y,z+1/2'
'x+1/2,-y+1/2,-z'
'-x,y+1/2,-z+1/2'
loop_
_atom_site_label
_atom_site_fract_x
_atom_site_fract_y
_atom_site_fract_z
K1 0.084 0.064 0.279
Ca1 0.215 0.057 0.546
Co1 0.214 0.573 0.485
C1 0.014 0.942 0.062
C2 0.036 0.990 0.958
C3 0.039 0.493 0.901
C4 0.054 0.563 0.994
C5 0.173 0.823 0.470
C6 0.246 0.190 0.060
S1 0.073 0.554 0.601
S2 0.118 0.463 0.382
S3 0.123 0.711 0.413
S4 0.148 0.410 0.867
S5 0.183 0.559 0.057
S6 0.198 0.313 0.090
O1 0.032 0.119 0.479
O2 0.056 0.000 0.645
O3 0.096 0.893 0.104
O4 0.119 0.772 0.824
O5 0.137 0.980 0.924
O6 0.145 0.916 0.443
O7 0.147 0.226 0.674
O8 0.199 0.172 0.737
O9 0.211 0.779 0.871
O10 0.217 0.107 0.107
```

Entry Q
Entry from the Materials Project database: crystalline KCaCoC6S6O10 at its relaxed geometry (PBE+U).

The structure in CIF format:
```
data_KCaCoC6S6O10
_chemical_formula_sum 'K4 Ca4 Co4 C24 S24 O40'
_symmetry_space_group_name_H-M 'P 21 21 21'
_symmetry_Int_Tables_number 19
_cell_length_a 11.743
_cell_length_b 12.111
_cell_length_c 13.669
_cell_angle_alpha 90.00
_cell_angle_beta 90.00
_cell_angle_gamma 90.00
loop_
_symmetry_equiv_pos_as_xyz
'x,y,z'
'-x+1/2,-y,z+1/2'
'x+1/2,-y+1/2,-z'
'-x,y+1/2,-z+1/2'
loop_
_atom_site_label
_atom_site_fract_x
_atom_site_fract_y
_atom_site_fract_z
K1 0.189 0.152 0.469
Ca1 0.161 0.022 0.213
Co1 0.184 0.460 0.720
C1 0.062 0.004 0.693
C2 0.081 0.929 0.781
C3 0.172 0.309 0.231
C4 0.190 0.763 0.174
C5 0.227 0.777 0.281
C6 0.247 0.365 0.177
S1 0.034 0.370 0.664
S2 0.073 0.548 0.831
S3 0.131 0.448 0.273
S4 0.156 0.590 0.601
S5 0.213 0.641 0.115
S6 0.216 0.335 0.840
O1 0.016 0.075 0.079
O2 0.022 0.486 0.223
O3 0.024 0.826 0.463
O4 0.065 0.816 0.545
O5 0.102 0.057 0.024
O6 0.129 0.215 0.249
O7 0.144 0.845 0.133
O8 0.148 0.030 0.643
O9 0.182 0.909 0.807
O10 0.213 0.870 0.320
```

Stability ranking, top and bottom: entry P is the most stable and entry Q is the least stable.